Record 1
NaGaO2: relaxed, meta-GGA r2SCAN.

Results
ΔH_f (0 K) (meV/atom): -2069
Calculated volume (Å³ per cell): 209.8
DFT total energy (eV per atom): -8.807

Cell: 5.2850 5.5211 7.1893 Å, 90.00 90.00 90.00°
Last column: nearest neighbours and their distance in Å.
Element x y z (fractional)
Na (0.5151, 0.4321, 0.1224)  4 O 2.27-2.32
Na (0.0151, 0.5679, 0.8776)  4 O 2.27-2.32
Na (0.5151, 0.9321, 0.3776)  4 O 2.27-2.32
Na (0.0151, 0.0679, 0.6224)  4 O 2.27-2.32
Ga (0.9999, 0.5644, 0.3739)  4 O 1.84-1.86
Ga (0.4999, 0.9356, 0.8739)  4 O 1.84-1.86
Ga (0.4999, 0.4356, 0.6261)  4 O 1.84-1.86
Ga (0.9999, 0.0644, 0.1261)  4 O 1.84-1.86
O (0.6531, 0.0399, 0.0900)  2 Ga 1.84-1.86
O (0.1531, 0.4601, 0.5900)  2 Ga 1.84-1.86
O (0.0814, 0.8886, 0.3375)  2 Ga 1.85-1.86
O (0.1531, 0.9601, 0.9100)  2 Ga 1.84-1.86
O (0.6531, 0.5399, 0.4100)  2 Ga 1.84-1.86
O (0.0814, 0.3886, 0.1625)  2 Ga 1.85-1.86
O (0.5814, 0.1114, 0.6625)  2 Ga 1.85-1.86
O (0.5814, 0.6114, 0.8375)  2 Ga 1.85-1.86


Record 2
Na3Ga3Si3O16: relaxed, meta-GGA r2SCAN.

Results
ΔH_f (0 K) (meV/atom): -1928
Calculated volume (Å³ per cell): 736.1
DFT total energy (eV per atom): -8.604

Cell: 9.0296 9.0296 9.0296 Å, 90.52 90.52 90.52°
Last column: nearest neighbours and their distance in Å.
Element x y z (fractional)
O (0.9412, 0.6625, 0.6429)  1 Si 1.61
O (0.5556, 0.5500, 0.3729)  1 O 1.33
O (0.9284, 0.3481, 0.3725)  1 Si 1.63
O (0.0500, 0.0556, 0.8729)  1 O 1.33
O (0.0736, 0.6478, 0.3724)  1 Si 1.63
O (0.3729, 0.5556, 0.5500)  1 O 1.33
O (0.4978, 0.4978, 0.4978)  3 O 1.33
O (0.3481, 0.3725, 0.9284)  1 Si 1.63
O (0.6478, 0.3724, 0.0736)  1 Si 1.63
O (0.4412, 0.1429, 0.1625)  1 Si 1.61
O (0.3553, 0.6410, 0.0654)  1 Si 1.63
O (0.5500, 0.3729, 0.5556)  1 O 1.33
O (0.4284, 0.8725, 0.8481)  1 Si 1.63
O (0.1410, 0.8553, 0.5654)  1 Si 1.63
O (0.3724, 0.0736, 0.6478)  1 Si 1.63
O (0.5654, 0.1410, 0.8553)  1 Si 1.63
O (0.0556, 0.8729, 0.0500)  1 O 1.33
O (0.3725, 0.9284, 0.3481)  1 Si 1.63
O (0.1478, 0.5736, 0.8724)  1 Si 1.63
O (0.1429, 0.1625, 0.4412)  1 Si 1.61
O (0.6429, 0.9412, 0.6625)  1 Si 1.61
O (0.8481, 0.4284, 0.8725)  1 Si 1.63
O (0.6625, 0.6429, 0.9412)  1 Si 1.61
O (0.9978, 0.9978, 0.9978)  3 O 1.33
O (0.8729, 0.0500, 0.0556)  1 O 1.33
O (0.6410, 0.0654, 0.3553)  1 Si 1.63
O (0.8724, 0.1478, 0.5736)  1 Si 1.63
O (0.5736, 0.8724, 0.1478)  1 Si 1.63
O (0.0654, 0.3553, 0.6410)  1 Si 1.63
O (0.1625, 0.4412, 0.1429)  1 Si 1.61
O (0.8725, 0.8481, 0.4284)  1 Si 1.63
O (0.8553, 0.5654, 0.1410)  1 Si 1.63
Na (0.1842, 0.8171, 0.8115)  5 O 2.28-2.54
Na (0.8115, 0.1842, 0.8171)  5 O 2.28-2.54
Na (0.3115, 0.3171, 0.6842)  5 O 2.28-2.54
Na (0.8171, 0.8115, 0.1842)  5 O 2.28-2.54
Na (0.6842, 0.3115, 0.3171)  5 O 2.28-2.54
Na (0.3171, 0.6842, 0.3115)  5 O 2.28-2.54
Ga (0.4929, 0.2556, 0.0062)  4 O 1.81-1.84
Ga (0.0062, 0.4929, 0.2556)  4 O 1.81-1.84
Ga (0.2556, 0.0062, 0.4929)  4 O 1.81-1.84
Ga (0.9929, 0.5062, 0.7556)  4 O 1.81-1.84
Ga (0.5062, 0.7556, 0.9929)  4 O 1.81-1.84
Ga (0.7556, 0.9929, 0.5062)  4 O 1.81-1.84
Si (0.0050, 0.7515, 0.5027)  4 O 1.61-1.63
Si (0.7515, 0.5027, 0.0050)  4 O 1.61-1.63
Si (0.5027, 0.0050, 0.7515)  4 O 1.61-1.63
Si (0.0028, 0.2515, 0.5050)  4 O 1.61-1.63
Si (0.2515, 0.5050, 0.0028)  4 O 1.61-1.63
Si (0.5050, 0.0028, 0.2515)  4 O 1.61-1.63


Record 3
Na3GaS3: relaxed, meta-GGA r2SCAN.

Results
ΔH_f (0 K) (meV/atom): -1222
Calculated volume (Å³ per cell): 623.0
DFT total energy (eV per atom): -7.828

Cell: 6.8943 7.1522 14.4496 Å, 60.98 90.00 90.00°
Last column: nearest neighbours and their distance in Å.
Element x y z (fractional)
Na (0.5350, 0.0648, 0.2103)  4 S 2.77-2.98, 1 Ga 3.06
Na (0.0005, 0.6914, 0.6028)  4 S 2.85-2.91
Na (0.9986, 0.7271, 0.1107)  4 S 2.75-2.96
Na (0.5005, 0.3086, 0.8972)  4 S 2.85-2.91
Na (0.0350, 0.9352, 0.2897)  4 S 2.77-2.98, 1 Ga 3.06
Na (0.4986, 0.2729, 0.3893)  4 S 2.75-2.96
Na (0.9995, 0.3086, 0.3972)  4 S 2.85-2.91
Na (0.5014, 0.7271, 0.6107)  4 S 2.75-2.96
Na (0.4650, 0.9352, 0.7897)  4 S 2.77-2.98, 1 Ga 3.06
Na (0.4995, 0.6914, 0.1028)  4 S 2.85-2.91
Na (0.9650, 0.0648, 0.7103)  4 S 2.77-2.98, 1 Ga 3.06
Na (0.0014, 0.2729, 0.8893)  4 S 2.75-2.96
Ga (0.1435, 0.3322, 0.0825)  4 S 2.23-2.35
Ga (0.8565, 0.6678, 0.9175)  4 S 2.23-2.35
Ga (0.3565, 0.3322, 0.5825)  4 S 2.23-2.35
Ga (0.6435, 0.6678, 0.4175)  4 S 2.23-2.35
S (0.8039, 0.3522, 0.0711)  2 Ga 2.30-2.35
S (0.3039, 0.6478, 0.4289)  2 Ga 2.30-2.35
S (0.2553, 0.3432, 0.7271)  1 Ga 2.24
S (0.6961, 0.3522, 0.5711)  2 Ga 2.30-2.35
S (0.2566, 0.0492, 0.0730)  1 Ga 2.23
S (0.7553, 0.6568, 0.7729)  1 Ga 2.24
S (0.7447, 0.6568, 0.2729)  1 Ga 2.24
S (0.7566, 0.9508, 0.4270)  1 Ga 2.23
S (0.2447, 0.3432, 0.2271)  1 Ga 2.24
S (0.2434, 0.0492, 0.5730)  1 Ga 2.23
S (0.7434, 0.9508, 0.9270)  1 Ga 2.23
S (0.1961, 0.6478, 0.9289)  2 Ga 2.30-2.35